No. 1
Material: BaAl2Si2
Method: DFT, PBE
State: relaxed

**E (MP2020)**: -0.3176 Ry per atom

a b c (Å): 10.1412 4.2617 10.9442
angles (deg): 90.00 90.00 90.00
Closest atoms and distances in Å follow each position.
Space group Pnma (No. 62)
Inequivalent atoms, fractional coordinates:
Ba 0.2478 0.2500 0.1748 [4 per cell]  7 Si 3.29-3.62, 5 Al 3.39-3.68
Al 0.0416 0.2500 0.8813 [4 per cell]  4 Si 2.52-2.58
Al 0.1007 0.2500 0.4526 [4 per cell]  4 Si 2.56-2.58
Si 0.0240 0.7500 0.3440 [4 per cell]  4 Al 2.55-2.56
Si 0.1452 0.7500 0.9587 [4 per cell]  4 Al 2.52-2.58

***

No. 2
Material: Dy3Y
Method: DFT, PBE
State: relaxed

**Energy above the most stable polymorph in this dataset**: 0 meV/atom

a b c (Å): 7.2466 7.2466 5.6842
angles (deg): 90.00 90.00 120.00
Closest atoms and distances in Å follow each position.
Space group P6_3/mmc (No. 194)
Inequivalent atoms, fractional coordinates:
Dy 0.1662 0.3324 0.2500 [6 per cell]  8 Dy 3.53-3.63, 4 Y 3.53-3.62
Y 0.3333 0.6667 0.7500 [2 per cell]  12 Dy 3.53-3.62

***

No. 3
Material: CuH8C4O5
Method: DFT, PBE
State: relaxed

**E (MP2020)**: -0.4412 Ry per atom

a b c (Å): 13.3556 8.7322 13.9446
angles (deg): 90.00 116.55 90.00
Closest atoms and distances in Å follow each position.
Space group C2/c (No. 15)
Inequivalent atoms, fractional coordinates:
Cu 0.0494 0.0792 0.4571 [8 per cell]  4 O 1.96-2.04
H 0.0632 0.4934 0.9323 [8 per cell]  1 C 1.09
H 0.0800 0.3874 0.8301 [8 per cell]  1 C 1.10
H 0.1134 0.1596 0.2997 [8 per cell]  1 O 0.99
H 0.1524 0.3950 0.2096 [8 per cell]  1 C 1.09
H 0.1788 0.4106 0.6874 [8 per cell]  1 C 1.10
H 0.1875 0.2776 0.3884 [8 per cell]  1 O 0.98
H 0.1937 0.4035 0.9591 [8 per cell]  1 C 1.10
H 0.2422 0.4408 0.1486 [8 per cell]  1 C 1.10
C 0.0661 0.2477 0.9494 [8 per cell]  2 O 1.28
C 0.1021 0.3930 0.9158 [8 per cell]  3 H 1.09-1.10
C 0.1827 0.0179 0.6829 [8 per cell]  2 O 1.28
C 0.2157 0.4745 0.2096 [8 per cell]  3 H 1.09-1.10
O 0.0066 0.2612 0.9997 [8 per cell]  1 C 1.28
O 0.0979 0.1209 0.9257 [8 per cell]  1 C 1.28
O 0.0993 0.0600 0.1780 [8 per cell]  1 C 1.28
O 0.1216 0.2113 0.3658 [8 per cell]  2 H 0.98-0.99
O 0.1851 0.0879 0.6034 [8 per cell]  1 C 1.28

***

No. 4
Material: Na6Hf3MgGe2P4O24
Method: DFT, PBE
State: relaxed

**E (MP2020)**: -0.5605 Ry per atom

a b c (Å): 9.1661 9.1668 22.7039
angles (deg): 89.58 89.87 60.16
Closest atoms and distances in Å follow each position.
Space group P1 (No. 1)
Inequivalent atoms, fractional coordinates:
Na 0.0000 0.0000 0.0000 [1 per cell]  6 O 2.47-2.74
Na 0.9999 0.2893 0.5089 [1 per cell]  4 O 2.47-2.51
Na 0.0499 0.2900 0.1739 [1 per cell]  5 O 2.41-2.63
Na 0.2997 0.6885 0.1809 [1 per cell]  5 O 2.40-2.60
Na 0.3029 0.3073 0.6687 [1 per cell]  5 O 2.44-2.67
Na 0.3199 0.3523 0.3494 [1 per cell]  5 O 2.29-2.56
Na 0.3240 0.6070 0.8439 [1 per cell]  5 O 2.43-2.55
Na 0.3343 0.9771 0.5900 [1 per cell]  6 O 2.49-2.74
Na 0.3370 0.9801 0.0902 [1 per cell]  6 O 2.44-2.73
Na 0.3579 0.6350 0.5013 [1 per cell]  4 O 2.44-2.65
Na 0.6559 0.3106 0.9235 [1 per cell]  6 O 2.44-2.65
Na 0.6623 0.9429 0.1796 [1 per cell]  4 O 2.38-2.55
Na 0.6635 0.3081 0.4247 [1 per cell]  3 O 2.32-2.54
Na 0.6701 0.6690 0.6706 [1 per cell]  6 O 2.44-2.73
Na 0.9668 0.3568 0.8474 [1 per cell]  4 O 2.27-2.53
Na 0.9782 0.9613 0.3458 [1 per cell]  4 O 2.34-2.54
Na 0.9808 0.6764 0.7582 [1 per cell]  5 O 2.42-2.69
Na 0.9829 0.6425 0.2657 [1 per cell]  4 O 2.38-2.65
Hf 0.0024 0.6383 0.1045 [1 per cell]  5 O 1.96-2.18
Hf 0.3325 0.9732 0.7361 [1 per cell]  6 O 2.03-2.12
Hf 0.3426 0.9684 0.4379 [1 per cell]  6 O 2.02-2.17
Hf 0.3436 0.9742 0.9431 [1 per cell]  6 O 2.03-2.17
Hf 0.6654 0.3119 0.0659 [1 per cell]  6 O 2.00-2.13
Hf 0.6677 0.3111 0.2766 [1 per cell]  6 O 1.98-2.14
Hf 0.6694 0.3012 0.5674 [1 per cell]  4 O 1.95-2.05
Hf 0.6701 0.3004 0.7778 [1 per cell]  4 O 1.94-2.17
Hf 0.9987 0.6445 0.6061 [1 per cell]  6 O 2.03-2.16
Mg 0.3365 0.9743 0.2390 [1 per cell]  6 O 2.05-2.28
Mg 0.9905 0.6455 0.4045 [1 per cell]  4 O 1.99-2.20
Mg 0.9911 0.6508 0.9042 [1 per cell]  5 O 1.98-2.22
Ge 0.0024 0.3454 0.0004 [1 per cell]  4 O 1.70-1.79
Ge 0.2973 0.3442 0.4999 [1 per cell]  4 O 1.72-1.78
Ge 0.3743 0.6001 0.6719 [1 per cell]  4 O 1.73-1.76
Ge 0.6722 0.0121 0.6737 [1 per cell]  4 O 1.72-1.75
Ge 0.9611 0.3048 0.6713 [1 per cell]  4 O 1.74-1.75
Ge 0.9665 0.0098 0.1723 [1 per cell]  4 O 1.74-1.78
P 0.0010 0.9348 0.4982 [1 per cell]  4 O 1.52-1.59
P 0.0408 0.2682 0.3355 [1 per cell]  4 O 1.53-1.59
P 0.0419 0.9751 0.8424 [1 per cell]  4 O 1.53-1.56
P 0.2940 0.6395 0.0009 [1 per cell]  4 O 1.52-1.59
P 0.3326 0.6792 0.3350 [1 per cell]  4 O 1.53-1.58
P 0.3353 0.2690 0.8380 [1 per cell]  4 O 1.54-1.56
P 0.3764 0.3108 0.1724 [1 per cell]  4 O 1.54-1.57
P 0.6288 0.6812 0.8377 [1 per cell]  4 O 1.53-1.58
P 0.6295 0.9736 0.3331 [1 per cell]  4 O 1.53-1.60
P 0.6703 0.5976 0.1708 [1 per cell]  4 O 1.53-1.57
P 0.7083 0.6405 0.5035 [1 per cell]  4 O 1.51-1.58
P 0.7107 0.9317 0.0056 [1 per cell]  4 O 1.51-1.58
O 0.0190 0.8198 0.5519 [1 per cell]  1 P 1.56
O 0.0196 0.4389 0.0664 [1 per cell]  1 Ge 1.78, 1 Hf 1.96
O 0.0199 0.4434 0.3423 [1 per cell]  1 P 1.53
O 0.0268 0.8162 0.8433 [1 per cell]  1 P 1.53
O 0.1320 0.9907 0.8985 [1 per cell]  1 P 1.56
O 0.1347 0.1508 0.3902 [1 per cell]  1 P 1.58
O 0.1411 0.1845 0.2794 [1 per cell]  1 P 1.54
O 0.1537 0.9635 0.7887 [1 per cell]  1 P 1.56
O 0.1659 0.1381 0.6770 [1 per cell]  1 Ge 1.74
O 0.1657 0.9891 0.1738 [1 per cell]  1 Ge 1.74
O 0.1699 0.9426 0.4970 [1 per cell]  1 P 1.59
O 0.1712 0.4351 0.5632 [1 per cell]  1 Ge 1.77
O 0.1736 0.6614 0.3375 [1 per cell]  1 P 1.55
O 0.1767 0.6657 0.0561 [1 per cell]  1 P 1.59
O 0.1783 0.4452 0.8384 [1 per cell]  1 P 1.54
O 0.1788 0.1360 0.0028 [1 per cell]  1 Ge 1.79
O 0.1798 0.6136 0.6651 [1 per cell]  1 Ge 1.73
O 0.1987 0.4716 0.1661 [1 per cell]  1 P 1.57
O 0.2102 0.4694 0.4388 [1 per cell]  1 Ge 1.72
O 0.2143 0.6221 0.9447 [1 per cell]  1 P 1.52
O 0.3090 0.1445 0.4976 [1 per cell]  1 Ge 1.78
O 0.3124 0.8002 0.9995 [1 per cell]  1 P 1.56
O 0.3241 0.7800 0.2797 [1 per cell]  1 P 1.53
O 0.3293 0.1750 0.7820 [1 per cell]  1 P 1.56
O 0.3438 0.1581 0.8919 [1 per cell]  1 P 1.56
O 0.3474 0.7688 0.3914 [1 per cell]  1 P 1.57
O 0.3590 0.1528 0.1761 [1 per cell]  1 P 1.54
O 0.3615 0.7951 0.6767 [1 per cell]  1 Ge 1.74
O 0.4579 0.3386 0.2288 [1 per cell]  1 P 1.57
O 0.4654 0.4732 0.7346 [1 per cell]  1 Ge 1.76
O 0.4689 0.4834 0.0111 [1 per cell]  1 P 1.54
O 0.4881 0.2953 0.1195 [1 per cell]  1 P 1.54
O 0.4919 0.4969 0.3346 [1 per cell]  1 P 1.58
O 0.4924 0.9923 0.6777 [1 per cell]  1 Ge 1.75
O 0.4951 0.2887 0.8398 [1 per cell]  1 P 1.56
O 0.4961 0.3291 0.5047 [1 per cell]  1 Ge 1.76
O 0.5013 0.5100 0.6095 [1 per cell]  1 Ge 1.76
O 0.5103 0.9908 0.3858 [1 per cell]  1 P 1.57
O 0.5119 0.7806 0.8899 [1 per cell]  1 P 1.56
O 0.5186 0.7755 0.1756 [1 per cell]  1 P 1.53
O 0.5233 0.7918 0.4963 [1 per cell]  1 P 1.58
O 0.5364 0.9436 0.9991 [1 per cell]  1 P 1.55
O 0.5377 0.7763 0.7801 [1 per cell]  1 P 1.56
O 0.5501 0.9616 0.2756 [1 per cell]  1 P 1.53
O 0.6273 0.1442 0.6129 [1 per cell]  1 Ge 1.74
O 0.6335 0.1458 0.3348 [1 per cell]  1 P 1.60
O 0.6385 0.5042 0.8386 [1 per cell]  1 P 1.58
O 0.6476 0.5090 0.1167 [1 per cell]  1 P 1.55
O 0.6810 0.1134 0.0134 [1 per cell]  1 P 1.56
O 0.6903 0.4849 0.2258 [1 per cell]  1 P 1.57
O 0.6907 0.4789 0.5067 [1 per cell]  1 P 1.57
O 0.7018 0.1024 0.7360 [1 per cell]  1 Ge 1.73
O 0.7801 0.6636 0.5627 [1 per cell]  1 P 1.56
O 0.7928 0.8296 0.0642 [1 per cell]  1 P 1.58
O 0.8050 0.6594 0.8398 [1 per cell]  1 P 1.53
O 0.8096 0.8278 0.3410 [1 per cell]  1 P 1.53
O 0.8223 0.6200 0.4525 [1 per cell]  1 P 1.51
O 0.8282 0.3089 0.0056 [1 per cell]  1 Ge 1.79
O 0.8303 0.8506 0.9546 [1 per cell]  1 P 1.51
O 0.8331 0.1081 0.2335 [1 per cell]  1 Ge 1.78, 1 Hf 1.98
O 0.8347 0.3406 0.7336 [1 per cell]  1 Ge 1.75
O 0.8362 0.6064 0.1672 [1 per cell]  1 P 1.56
O 0.8390 0.8108 0.6671 [1 per cell]  1 Ge 1.72
O 0.8552 0.1185 0.5062 [1 per cell]  1 P 1.56
O 0.8610 0.1356 0.1112 [1 per cell]  1 Ge 1.75
O 0.8639 0.2759 0.3343 [1 per cell]  1 P 1.59
O 0.8701 0.1426 0.8393 [1 per cell]  1 P 1.56
O 0.8774 0.2772 0.6064 [1 per cell]  1 Ge 1.74
O 0.9753 0.4878 0.6665 [1 per cell]  1 Ge 1.75
O 0.9799 0.4560 0.9375 [1 per cell]  1 Ge 1.70
O 0.9803 0.8098 0.1698 [1 per cell]  1 Ge 1.77
O 0.9798 0.8616 0.4412 [1 per cell]  1 P 1.52

***

No. 5
Material: LaBPt4
Method: DFT, PBE
State: relaxed

a b c (Å): 5.5417 5.5417 7.7241
angles (deg): 90.00 90.00 120.00
Closest atoms and distances in Å follow each position.
Space group P6/mmm (No. 191)
Inequivalent atoms, fractional coordinates:
La 0.0000 0.0000 0.0000 [1 per cell]  12 Pt 3.17, 6 B 3.20
La 0.0000 0.0000 0.5000 [1 per cell]  6 Pt 3.20
B 0.3333 0.6667 0.0000 [2 per cell]  6 Pt 2.22
Pt 0.0000 0.5000 0.1985 [6 per cell]  2 B 2.22
Pt 0.3333 0.6667 0.5000 [2 per cell]  6 Pt 2.83

***

No. 6
Material: Sn5C8Se10N2O
Method: DFT, PBE
State: relaxed

**E (MP2020)**: -0.3789 Ry per atom

a b c (Å): 9.3652 9.3652 15.6779
angles (deg): 90.00 90.00 90.00
Closest atoms and distances in Å follow each position.
Space group I-4 (No. 82)
Inequivalent atoms, fractional coordinates:
Sn 0.0000 0.0000 0.0000 [2 per cell]  4 Se 3.13
Sn 0.0477 0.3193 0.8485 [8 per cell]  1 O 2.33, 1 Se 2.60
C 0.0028 0.5729 0.1662 [8 per cell]  1 C 1.37, 1 N 1.48
C 0.0316 0.9361 0.5867 [8 per cell]  1 C 1.33
Se 0.0000 0.5000 0.5287 [4 per cell]  2 Sn 2.60
Se 0.0198 0.7650 0.1414 [8 per cell]  1 C 1.85
Se 0.1027 0.8284 0.6771 [8 per cell]  1 C 1.86
N 0.0000 0.0000 0.5000 [2 per cell]  4 C 1.51
N 0.0000 0.5000 0.2500 [2 per cell]  4 C 1.48
O 0.0000 0.5000 0.7500 [2 per cell]  4 Sn 2.33

***

No. 7
Material: Tb2CoGe2
Method: DFT, PBE
State: relaxed

a b c (Å): 13.6630 4.1541 7.4888
angles (deg): 90.00 98.79 90.00
Closest atoms and distances in Å follow each position.
Space group C2/m (No. 12)
Inequivalent atoms, fractional coordinates:
Tb 0.1314 0.0000 0.0029 [4 per cell]  4 Co 2.88-3.15, 5 Ge 2.92-3.12
Tb 0.1386 0.5000 0.5850 [4 per cell]  7 Ge 2.89-3.11, 1 Co 3.16
Co 0.0292 0.5000 0.1678 [4 per cell]  3 Ge 2.44-2.58, 1 Co 2.52
Ge 0.0177 0.0000 0.3332 [4 per cell]  2 Co 2.44, 1 Ge 2.62
Ge 0.2193 0.5000 0.2499 [4 per cell]  1 Co 2.58

***

No. 8
Material: BaTiOF4
Method: DFT, PBE
State: relaxed

**E (MP2020)**: -0.5242 Ry per atom

a b c (Å): 5.3086 13.9102 5.6056
angles (deg): 90.00 90.00 90.00
Closest atoms and distances in Å follow each position.
Space group Pbcm (No. 57)
Inequivalent atoms, fractional coordinates:
Ba 0.2485 0.0937 0.2500 [4 per cell]  7 F 2.71-2.92
Ti 0.3132 0.6770 0.7500 [4 per cell]  2 O 1.87, 4 F 1.88-2.00
O 0.4471 0.7500 0.0000 [4 per cell]  2 Ti 1.87
F 0.0054 0.2354 0.7500 [4 per cell]  1 Ti 1.88
F 0.1796 0.5813 0.5150 [8 per cell]  1 Ti 2.00
F 0.4027 0.0879 0.7500 [4 per cell]  1 Ti 1.95

***

No. 9
Material: HgI2
Method: DFT, PBE
State: relaxed

**E (MP2020)**: -0.1237 Ry per atom

a b c (Å): 4.5206 4.5206 13.8697
angles (deg): 90.00 90.00 90.00
Closest atoms and distances in Å follow each position.
Space group P4_2/nmc (No. 137, origin choice 2)
Inequivalent atoms, fractional coordinates:
Hg 0.2500 0.7500 0.2500 [2 per cell]  4 I 2.87
I 0.2500 0.2500 0.1225 [4 per cell]  2 Hg 2.87

***

No. 10
Material: K2ZnP2O7
Method: DFT, PBE
State: relaxed

**E (MP2020)**: -0.4908 Ry per atom

a b c (Å): 7.9839 7.9839 11.4938
angles (deg): 90.00 90.00 90.00
Closest atoms and distances in Å follow each position.
Space group P4_2/mnm (No. 136)
Inequivalent atoms, fractional coordinates:
K 0.1514 0.1514 0.0000 [4 per cell]  8 O 2.86-2.87
K 0.1845 0.1845 0.5000 [4 per cell]  8 O 2.66-2.95
Zn 0.0000 0.5000 0.2500 [4 per cell]  4 O 1.99
P 0.1363 0.8637 0.2811 [8 per cell]  4 O 1.51-1.65
O 0.0000 0.0000 0.3318 [4 per cell]  2 P 1.65
O 0.0786 0.6984 0.3397 [16 per cell]  1 P 1.55
O 0.1358 0.8642 0.1500 [8 per cell]  1 P 1.51

***

No. 11
Material: MgSnBiO4
Method: DFT, PBE
State: relaxed

**E (MP2020)**: -0.4344 Ry per atom
**Energy above the most stable polymorph in this dataset**: 136 meV/atom

a b c (Å): 4.2738 4.2738 12.6131
angles (deg): 90.00 90.00 90.00
Closest atoms and distances in Å follow each position.
Space group I-4m2 (No. 119)
Inequivalent atoms, fractional coordinates:
Mg 0.0000 0.0000 0.0000 [2 per cell]  4 O 2.14
Sn 0.0000 0.0000 0.5000 [2 per cell]  6 O 2.14-2.15
Bi 0.0000 0.5000 0.2500 [2 per cell]  4 O 2.36
O 0.0000 0.0000 0.3295 [4 per cell]  1 Sn 2.15, 2 Bi 2.36
O 0.0000 0.5000 0.0052 [4 per cell]  2 Sn 2.14, 2 Mg 2.14

***

Number 1: formation energy from the elements -269 meV per atom. Number 2: formation energy from the elements 15 meV per atom. Number 3: formation energy from the elements -842 meV per atom. Number 4: formation energy from the elements -2900 meV per atom. Number 5: formation energy from the elements -811 meV per atom. Number 6: formation energy from the elements 632 meV per atom. Number 7: formation energy from the elements -600 meV per atom. Number 8: formation energy from the elements -3928 meV per atom. Number 9: formation energy from the elements -566 meV per atom. Number 10: formation energy from the elements -2599 meV per atom. Number 11: formation energy from the elements -1725 meV per atom.